[1]
A plane-wave DFT calculation with PBE was carried out for a relaxed Hg8Br3O4 crystal.

abc: 6.470 7.326 43.606
angles: 84.57 90.00 90.00
Fractional coordinates of all 60 atoms:
O (0.831, 0.582, 0.686)
O (0.083, 0.863, 0.246)
O (0.583, 0.137, 0.254)
O (0.011, 0.655, 0.916)
O (0.169, 0.418, 0.314)
O (0.669, 0.582, 0.186)
O (0.989, 0.345, 0.084)
O (0.917, 0.137, 0.754)
O (0.578, 0.744, 0.195)
O (0.417, 0.863, 0.746)
O (0.511, 0.345, 0.584)
O (0.922, 0.744, 0.695)
O (0.078, 0.256, 0.305)
O (0.331, 0.418, 0.814)
O (0.422, 0.256, 0.805)
O (0.489, 0.655, 0.416)
Hg (0.202, 0.802, 0.194)
Hg (0.230, 0.300, 0.123)
Hg (0.412, 0.741, 0.116)
Hg (0.769, 0.891, 0.734)
Hg (0.925, 0.993, 0.151)
Hg (0.298, 0.802, 0.694)
Hg (0.770, 0.700, 0.877)
Hg (0.575, 0.993, 0.651)
Hg (0.125, 0.638, 0.279)
Hg (0.075, 0.007, 0.849)
Hg (0.810, 0.042, 0.491)
Hg (0.730, 0.700, 0.377)
Hg (0.310, 0.958, 0.009)
Hg (0.375, 0.638, 0.779)
Hg (0.269, 0.109, 0.766)
Hg (0.702, 0.198, 0.306)
Hg (0.690, 0.042, 0.991)
Hg (0.912, 0.259, 0.384)
Hg (0.731, 0.891, 0.234)
Hg (0.088, 0.741, 0.616)
Hg (0.514, 0.886, 0.832)
Hg (0.875, 0.362, 0.721)
Hg (0.588, 0.259, 0.884)
Hg (0.270, 0.300, 0.623)
Hg (0.986, 0.886, 0.332)
Hg (0.625, 0.362, 0.221)
Hg (0.798, 0.198, 0.806)
Hg (0.486, 0.114, 0.168)
Hg (0.425, 0.007, 0.349)
Hg (0.014, 0.114, 0.668)
Hg (0.190, 0.958, 0.509)
Hg (0.231, 0.109, 0.266)
Br (0.768, 0.198, 0.090)
Br (0.494, 0.180, 0.463)
Br (0.268, 0.802, 0.410)
Br (0.232, 0.802, 0.910)
Br (0.006, 0.180, 0.963)
Br (0.732, 0.198, 0.590)
Br (0.994, 0.820, 0.037)
Br (0.127, 0.410, 0.220)
Br (0.373, 0.410, 0.720)
Br (0.506, 0.820, 0.537)
Br (0.627, 0.590, 0.280)
Br (0.873, 0.590, 0.780)

Output
Energy above the lowest structure with this stoichiometry   400 meV per atom
ΔE_f   -0.12 eV/atom
Total moment   0.0 μB/cell



[2]
A plane-wave DFT calculation with PBE was carried out for a relaxed Hg8Br3O4 crystal.

abc: 6.524 6.936 39.493
angles: 89.36 90.00 90.00
Fractional coordinates of all 60 atoms:
Br (0.513, 0.806, 0.535)
Br (0.258, 0.641, 0.889)
Br (0.242, 0.641, 0.389)
Br (0.758, 0.359, 0.611)
Br (0.742, 0.359, 0.111)
Br (0.404, 0.384, 0.689)
Br (0.596, 0.616, 0.311)
Br (0.904, 0.616, 0.811)
Br (0.987, 0.806, 0.035)
Br (0.096, 0.384, 0.189)
Br (0.487, 0.194, 0.465)
Br (0.013, 0.194, 0.965)
O (0.441, 0.863, 0.758)
O (0.595, 0.578, 0.223)
O (0.846, 0.829, 0.643)
O (0.905, 0.578, 0.723)
O (0.785, 0.946, 0.883)
O (0.405, 0.422, 0.777)
O (0.285, 0.054, 0.617)
O (0.154, 0.171, 0.357)
O (0.715, 0.946, 0.383)
O (0.215, 0.054, 0.117)
O (0.059, 0.863, 0.258)
O (0.941, 0.137, 0.742)
O (0.346, 0.171, 0.857)
O (0.095, 0.422, 0.277)
O (0.559, 0.137, 0.242)
O (0.654, 0.829, 0.143)
Hg (0.233, 0.654, 0.736)
Hg (0.755, 0.633, 0.892)
Hg (0.576, 0.952, 0.629)
Hg (0.808, 0.039, 0.492)
Hg (0.745, 0.633, 0.392)
Hg (0.642, 0.260, 0.889)
Hg (0.388, 0.967, 0.183)
Hg (0.190, 0.477, 0.329)
Hg (0.733, 0.860, 0.242)
Hg (0.255, 0.367, 0.608)
Hg (0.192, 0.961, 0.508)
Hg (0.733, 0.346, 0.764)
Hg (0.810, 0.523, 0.671)
Hg (0.310, 0.477, 0.829)
Hg (0.267, 0.654, 0.236)
Hg (0.767, 0.860, 0.742)
Hg (0.245, 0.367, 0.108)
Hg (0.267, 0.140, 0.758)
Hg (0.308, 0.961, 0.008)
Hg (0.692, 0.039, 0.992)
Hg (0.233, 0.140, 0.258)
Hg (0.858, 0.260, 0.389)
Hg (0.358, 0.740, 0.111)
Hg (0.142, 0.740, 0.611)
Hg (0.612, 0.033, 0.817)
Hg (0.888, 0.033, 0.317)
Hg (0.690, 0.523, 0.171)
Hg (0.076, 0.048, 0.871)
Hg (0.112, 0.967, 0.683)
Hg (0.924, 0.952, 0.129)
Hg (0.767, 0.346, 0.264)
Hg (0.424, 0.048, 0.371)

Output
Energy above the lowest structure with this stoichiometry   116 meV per atom
ΔE_f   -0.40 eV/atom
Total moment   0.0 μB/cell



[3]
A plane-wave DFT calculation with PBE was carried out for a relaxed HgBrO4 crystal.

abc: 4.777 7.299 11.862
angles: 90.00 90.00 90.00
Fractional coordinates of all 24 atoms:
O (0.146, 0.750, 0.554)
O (0.917, 0.250, 0.172)
O (0.420, 0.936, 0.130)
O (0.580, 0.936, 0.630)
O (0.580, 0.064, 0.870)
O (0.420, 0.436, 0.370)
O (0.146, 0.250, 0.946)
O (0.580, 0.564, 0.630)
O (0.083, 0.750, 0.828)
O (0.854, 0.250, 0.446)
O (0.083, 0.250, 0.672)
O (0.854, 0.750, 0.054)
O (0.420, 0.564, 0.130)
O (0.580, 0.436, 0.870)
O (0.917, 0.750, 0.328)
O (0.420, 0.064, 0.370)
Br (0.500, 0.250, 0.449)
Br (0.500, 0.750, 0.051)
Br (0.500, 0.250, 0.949)
Br (0.500, 0.750, 0.551)
Hg (0.924, 0.500, 0.250)
Hg (0.076, 0.000, 0.750)
Hg (0.076, 0.500, 0.750)
Hg (0.924, 0.000, 0.250)

Output
ΔE_f   -0.26 eV/atom
Total moment   4.0 μB/cell



[4]
A plane-wave DFT calculation with PBE was carried out for a relaxed HgBrO3 crystal.

abc: 9.882 9.882 9.072
angles: 74.31 74.31 27.68
Fractional coordinates of all 20 atoms:
O (0.020, 0.323, 0.542)
O (0.665, 0.515, 0.198)
O (0.896, 0.459, 0.826)
O (0.323, 0.020, 0.042)
O (0.541, 0.104, 0.674)
O (0.980, 0.677, 0.458)
O (0.104, 0.541, 0.174)
O (0.485, 0.335, 0.302)
O (0.677, 0.980, 0.958)
O (0.335, 0.485, 0.802)
O (0.459, 0.896, 0.326)
O (0.515, 0.665, 0.698)
Br (0.263, 0.391, 0.337)
Br (0.391, 0.263, 0.837)
Br (0.737, 0.609, 0.663)
Br (0.609, 0.737, 0.163)
Hg (0.094, 0.037, 0.012)
Hg (0.963, 0.906, 0.488)
Hg (0.037, 0.094, 0.512)
Hg (0.906, 0.963, 0.988)

Output
ΔE_f   -0.40 eV/atom



[5]
A plane-wave DFT calculation with PBE was carried out for a relaxed Hg8Br3O4 crystal.

abc: 6.492 7.027 32.239
angles: 83.57 90.00 90.00
Fractional coordinates of all 60 atoms:
Br (0.182, 0.841, 0.371)
Br (0.351, 0.398, 0.688)
Br (0.499, 0.175, 0.444)
Br (0.818, 0.159, 0.629)
Br (0.149, 0.398, 0.188)
Br (0.501, 0.825, 0.556)
Br (0.001, 0.175, 0.944)
Br (0.999, 0.825, 0.056)
Br (0.682, 0.159, 0.129)
Br (0.851, 0.602, 0.812)
Br (0.649, 0.602, 0.312)
Br (0.318, 0.841, 0.871)
Hg (0.368, 0.573, 0.780)
Hg (0.169, 0.407, 0.039)
Hg (0.669, 0.593, 0.461)
Hg (0.433, 0.190, 0.322)
Hg (0.567, 0.810, 0.678)
Hg (0.130, 0.454, 0.430)
Hg (0.370, 0.454, 0.930)
Hg (0.588, 0.010, 0.787)
Hg (0.869, 0.137, 0.507)
Hg (0.323, 0.176, 0.609)
Hg (0.131, 0.863, 0.493)
Hg (0.677, 0.824, 0.391)
Hg (0.412, 0.990, 0.213)
Hg (0.632, 0.427, 0.220)
Hg (0.912, 0.010, 0.287)
Hg (0.424, 0.727, 0.124)
Hg (0.331, 0.407, 0.539)
Hg (0.933, 0.810, 0.178)
Hg (0.076, 0.727, 0.624)
Hg (0.868, 0.427, 0.720)
Hg (0.369, 0.863, 0.993)
Hg (0.132, 0.573, 0.280)
Hg (0.177, 0.176, 0.109)
Hg (0.630, 0.546, 0.070)
Hg (0.831, 0.593, 0.961)
Hg (0.631, 0.137, 0.007)
Hg (0.067, 0.190, 0.822)
Hg (0.088, 0.990, 0.713)
Hg (0.576, 0.273, 0.876)
Hg (0.823, 0.824, 0.891)
Hg (0.870, 0.546, 0.570)
Hg (0.924, 0.273, 0.376)
O (0.109, 0.849, 0.250)
O (0.272, 0.592, 0.480)
O (0.728, 0.408, 0.520)
O (0.772, 0.408, 0.020)
O (0.228, 0.592, 0.980)
O (0.776, 0.078, 0.842)
O (0.224, 0.922, 0.158)
O (0.276, 0.922, 0.658)
O (0.635, 0.709, 0.192)
O (0.865, 0.709, 0.692)
O (0.135, 0.291, 0.308)
O (0.391, 0.849, 0.750)
O (0.609, 0.151, 0.250)
O (0.891, 0.151, 0.750)
O (0.724, 0.078, 0.342)
O (0.365, 0.291, 0.808)

Output
Energy above the lowest structure with this stoichiometry   0 meV per atom
ΔE_f   -0.52 eV/atom



[6]
A plane-wave DFT calculation with PBE was carried out for a relaxed HgPb2Br3O2 crystal.

abc: 7.855 8.347 14.850
angles: 90.00 90.00 118.07
Fractional coordinates of all 32 atoms:
Pb (0.120, 0.825, 0.576)
Pb (0.981, 0.175, 0.600)
Pb (0.795, 0.175, 0.076)
Pb (0.306, 0.825, 0.100)
Pb (0.295, 0.175, 0.424)
Pb (0.620, 0.825, 0.924)
Pb (0.481, 0.175, 0.900)
Pb (0.806, 0.825, 0.400)
O (0.740, 0.125, 0.929)
O (0.115, 0.875, 0.429)
O (0.480, 0.149, 0.065)
O (0.240, 0.125, 0.571)
O (0.980, 0.149, 0.435)
O (0.331, 0.851, 0.935)
O (0.615, 0.875, 0.071)
O (0.831, 0.851, 0.565)
Br (0.976, 0.959, 0.793)
Br (0.864, 0.455, 0.745)
Br (0.018, 0.041, 0.207)
Br (0.364, 0.455, 0.755)
Br (0.909, 0.545, 0.245)
Br (0.207, 0.413, 0.999)
Br (0.476, 0.959, 0.707)
Br (0.518, 0.041, 0.293)
Br (0.794, 0.587, 0.001)
Br (0.294, 0.587, 0.499)
Br (0.409, 0.545, 0.255)
Br (0.707, 0.413, 0.501)
Hg (0.095, 0.670, 0.856)
Hg (0.926, 0.330, 0.356)
Hg (0.595, 0.670, 0.644)
Hg (0.426, 0.330, 0.144)

Output
ΔE_f   -0.87 eV/atom
Total moment   0.0 μB/cell



[7]
A plane-wave DFT calculation with PBE was carried out for a relaxed Ta6HgBr16O18 crystal.

abc: 15.109 15.109 15.109
angles: 60.00 60.00 60.00
Fractional coordinates of all 82 atoms:
Br (0.260, 0.498, 0.744)
Br (0.498, 0.498, 0.260)
Br (0.506, 0.752, 0.752)
Br (0.990, 0.752, 0.752)
Br (0.752, 0.506, 0.990)
Br (0.498, 0.260, 0.744)
Br (0.928, 0.928, 0.928)
Br (0.506, 0.752, 0.990)
Br (0.216, 0.928, 0.928)
Br (0.260, 0.498, 0.498)
Br (0.260, 0.744, 0.498)
Br (0.752, 0.990, 0.752)
Br (0.322, 0.322, 0.034)
Br (0.990, 0.752, 0.506)
Br (0.498, 0.744, 0.498)
Br (0.928, 0.928, 0.216)
Br (0.498, 0.260, 0.498)
Br (0.498, 0.498, 0.744)
Br (0.744, 0.498, 0.498)
Br (0.752, 0.752, 0.506)
Br (0.752, 0.752, 0.990)
Br (0.322, 0.034, 0.322)
Br (0.928, 0.216, 0.928)
Br (0.498, 0.744, 0.260)
Br (0.752, 0.990, 0.506)
Br (0.990, 0.506, 0.752)
Br (0.744, 0.260, 0.498)
Br (0.034, 0.322, 0.322)
Br (0.506, 0.990, 0.752)
Br (0.322, 0.322, 0.322)
Br (0.752, 0.506, 0.752)
Br (0.744, 0.498, 0.260)
O (0.528, 0.528, 0.972)
O (0.184, 0.032, 0.184)
O (0.528, 0.972, 0.972)
O (0.600, 0.184, 0.184)
O (0.184, 0.032, 0.600)
O (0.184, 0.600, 0.184)
O (0.972, 0.528, 0.528)
O (0.032, 0.184, 0.184)
O (0.972, 0.972, 0.528)
O (0.032, 0.184, 0.600)
O (0.066, 0.066, 0.218)
O (0.066, 0.218, 0.650)
O (0.066, 0.218, 0.066)
O (0.722, 0.278, 0.278)
O (0.218, 0.066, 0.066)
O (0.184, 0.184, 0.032)
O (0.650, 0.218, 0.066)
O (0.972, 0.528, 0.972)
O (0.528, 0.972, 0.528)
O (0.722, 0.278, 0.722)
O (0.278, 0.722, 0.278)
O (0.278, 0.278, 0.722)
O (0.066, 0.650, 0.218)
O (0.722, 0.722, 0.278)
O (0.600, 0.032, 0.184)
O (0.600, 0.184, 0.032)
O (0.650, 0.066, 0.066)
O (0.218, 0.650, 0.066)
O (0.650, 0.066, 0.218)
O (0.066, 0.650, 0.066)
O (0.184, 0.184, 0.600)
O (0.184, 0.600, 0.032)
O (0.032, 0.600, 0.184)
O (0.066, 0.066, 0.650)
O (0.218, 0.066, 0.650)
O (0.278, 0.722, 0.722)
Ta (0.609, 0.609, 0.891)
Ta (0.641, 0.359, 0.641)
Ta (0.609, 0.891, 0.609)
Ta (0.891, 0.609, 0.891)
Ta (0.891, 0.891, 0.609)
Ta (0.641, 0.359, 0.359)
Ta (0.641, 0.641, 0.359)
Ta (0.359, 0.359, 0.641)
Ta (0.609, 0.891, 0.891)
Ta (0.359, 0.641, 0.359)
Ta (0.891, 0.609, 0.609)
Ta (0.359, 0.641, 0.641)
Hg (0.000, 0.000, 0.000)
Hg (0.250, 0.250, 0.250)

Output
ΔE_f   -0.55 eV/atom
Total moment   8.0 μB/cell



[8]
A plane-wave DFT calculation with PBE was carried out for a relaxed Hg7P4Br6 crystal.

abc: 20.288 6.191 7.740
angles: 76.15 90.00 90.00
Fractional coordinates of all 34 atoms:
Hg (0.768, 0.910, 0.188)
Hg (0.588, 0.217, 0.009)
Hg (0.500, 0.000, 0.500)
Hg (0.912, 0.217, 0.509)
Hg (0.363, 0.508, 0.579)
Hg (0.137, 0.508, 0.079)
Hg (0.637, 0.492, 0.421)
Hg (0.412, 0.783, 0.991)
Hg (0.088, 0.783, 0.491)
Hg (0.000, 0.000, 0.000)
Hg (0.232, 0.090, 0.812)
Hg (0.268, 0.090, 0.312)
Hg (0.732, 0.910, 0.688)
Hg (0.863, 0.492, 0.921)
P (0.897, 0.142, 0.836)
P (0.103, 0.858, 0.164)
P (0.603, 0.142, 0.336)
P (0.322, 0.123, 0.590)
P (0.178, 0.123, 0.090)
P (0.678, 0.877, 0.410)
P (0.397, 0.858, 0.664)
P (0.822, 0.877, 0.910)
Br (0.612, 0.814, 0.918)
Br (0.520, 0.399, 0.722)
Br (0.388, 0.186, 0.082)
Br (0.288, 0.638, 0.206)
Br (0.020, 0.601, 0.778)
Br (0.980, 0.399, 0.222)
Br (0.480, 0.601, 0.278)
Br (0.788, 0.362, 0.294)
Br (0.888, 0.814, 0.418)
Br (0.212, 0.638, 0.706)
Br (0.712, 0.362, 0.794)
Br (0.112, 0.186, 0.582)

Output
ΔE_f   -0.46 eV/atom
Total moment   0.0 μB/cell



no.,energy (eV per atom)
1,-1.882
2,-2.025
3,-3.429
4,-3.341
5,-2.142
6,-3.520
7,-5.100
8,-2.252